Entry 1:
Here is a relaxed La11Mn3C18 crystal from the Materials Project. Energies are from PBE.

Summary:
- DFT formation energy (eV per atom) = -0.27
- crystal system = trigonal

Cell lengths 15.2272, 15.2272, 15.9969 Å; angles 90.00, 90.00, 120.00 degrees
Space group R-3 (No. 148, hexagonal axes)
Symmetry-distinct sites (fractional):
La (0.0000, 0.0000, 0.1367) x6
La (0.0000, 0.0000, 0.3606) x6
La (0.0853, 0.2428, 0.4193) x18
La (0.0885, 0.5147, 0.7470) x18
La (0.0904, 0.2418, 0.7510) x18
Mn (0.0039, 0.3288, 0.2495) x18
C (0.0451, 0.2476, 0.5848) x18
C (0.0478, 0.2384, 0.2491) x18
C (0.0495, 0.2526, 0.9159) x18
C (0.0663, 0.1602, 0.2488) x18
C (0.0845, 0.1871, 0.9156) x18
C (0.0866, 0.1878, 0.5852) x18

=====

Entry 2:
Here is a relaxed Nb3TlCuCl9 crystal from the Materials Project. Energies are from PBE.

Summary:
- DFT formation energy (eV per atom) = -1.51
- crystal system = triclinic
- energy above the most stable polymorph in this dataset (eV/atom) = 0.000

Cell lengths 9.379, 9.386, 9.404 Å; angles 119.46, 105.22, 96.12 degrees
Space group P-1 (No. 2)
Symmetry-distinct sites (fractional):
Nb (0.133, 0.343, 0.393) x2
Nb (0.140, 0.573, 0.750) x2
Nb (0.142, 0.701, 0.520) x2
Tl (0.340, 0.267, 0.982) x2
Cu (0.380, 0.950, 0.310) x2
Cl (0.001, 0.651, 0.230) x2
Cl (0.006, 0.767, 0.919) x2
Cl (0.011, 0.922, 0.651) x2
Cl (0.304, 0.147, 0.254) x2
Cl (0.323, 0.401, 0.670) x2
Cl (0.323, 0.553, 0.400) x2
Cl (0.330, 0.672, 0.073) x2
Cl (0.331, 0.825, 0.821) x2
Cl (0.332, 0.962, 0.552) x2

=====

Entry 3:
Here is a relaxed Gd2ZnRu crystal from the Materials Project. Energies are from PBE.

Summary:
- DFT formation energy (eV per atom) = -0.33
- crystal system = cubic

Cell lengths 7.020, 7.020, 7.020 Å; angles 90.00, 90.00, 90.00 degrees
Space group Fm-3m (No. 225)
Symmetry-distinct sites (fractional):
Gd (0.250, 0.250, 0.250) x8
Zn (0.000, 0.000, 0.000) x4
Ru (0.000, 0.000, 0.500) x4

=====

Entry 4:
Here is a relaxed PaTe2Au crystal from the Materials Project. Energies are from PBE.

Summary:
- DFT formation energy (eV per atom) = -0.41
- crystal system = cubic

Cell lengths 7.425, 7.425, 7.425 Å; angles 90.00, 90.00, 90.00 degrees
Space group Fm-3m (No. 225)
Symmetry-distinct sites (fractional):
Pa (0.000, 0.000, 0.000) x4
Te (0.250, 0.250, 0.250) x8
Au (0.000, 0.000, 0.500) x4

=====

Entry 5:
Here is a relaxed SrIrO3 crystal from the Materials Project. Energies are from PBE.

Summary:
- DFT formation energy (eV per atom) = -1.89
- crystal system = cubic

Cell lengths 3.998, 3.998, 3.998 Å; angles 90.00, 90.00, 90.00 degrees
Space group Pm-3m (No. 221)
Symmetry-distinct sites (fractional):
Sr (0.000, 0.000, 0.000) x1
Ir (0.500, 0.500, 0.500) x1
O (0.000, 0.500, 0.500) x3

=====

Entry 6:
Here is a relaxed CaCo4S8 crystal from the Materials Project. Energies are from PBE.

Summary:
- DFT formation energy (eV per atom) = -0.86
- crystal system = trigonal
- energy above the most stable polymorph in this dataset (eV/atom) = 0.000

Cell lengths 6.7823, 6.7823, 18.5126 Å; angles 90.00, 90.00, 120.00 degrees
Space group R-3m (No. 166, hexagonal axes)
Symmetry-distinct sites (fractional):
Ca (0.0000, 0.0000, 0.0000) x3
Co (0.0000, 0.0000, 0.5000) x3
Co (0.0000, 0.5000, 0.5000) x9
S (0.0000, 0.0000, 0.2282) x6
S (0.0035, 0.5017, 0.2284) x18